No. 1
First-principles (PBE with a Hubbard U) data for a relaxed structure of Li2Mo2P2O11, as listed in the Materials Project.

The structure in POSCAR format:
```
Li2Mo2P2O11
1.0
-3.8804 0.4690 -0.8557
-1.4129 -4.8769 4.1216
1.1514 5.6660 6.5092
Li Mo P O
2 2 2 11
Cartesian
-2.9092 1.2880 3.9708
-1.6051 -1.5920 7.4737
-1.4121 1.9839 6.3983
-3.3547 -3.1745 5.2205
-2.2507 -1.3808 2.6101
-2.6322 0.2546 9.0764
-1.0906 0.9224 5.0119
-2.3174 2.7460 2.5387
-1.5442 3.3615 7.9887
-3.3512 -4.4532 3.7383
-3.2522 2.2474 6.0323
-1.5357 -3.3805 5.6119
-4.0636 0.4604 8.8058
-0.9144 3.6099 5.2535
-1.7848 0.5161 7.7483
-2.9823 -1.6332 3.9549
-2.5191 0.1228 2.3444
```

Computed properties:
density = 3.3 Mg/m³
calculated total energy = -6.645 eV per atom

No. 2
First-principles (PBE with a Hubbard U) data for a relaxed structure of Mg2Nb2FeO8, as listed in the Materials Project.

The structure in POSCAR format:
```
Mg2Nb2FeO8
1.0
-1.9288 4.4154 -1.9881
-0.6275 -2.6958 -5.3764
-8.6447 -1.3146 5.0685
Mg Nb Fe O
4 4 2 16
Cartesian
-6.3928 1.5096 -0.9720
-5.9447 0.3591 -3.8473
-4.8004 -1.0876 -1.3391
-5.2518 0.0618 1.5366
-3.6267 2.2213 -1.8473
-8.1172 2.1872 2.0930
-7.5662 -1.8009 -0.4650
-3.0784 -1.7678 -4.4049
-10.4989 0.2392 0.0529
-9.3405 -1.1381 2.7047
-1.5072 -0.3008 -0.4228
-8.2318 0.6192 3.3031
-9.6861 0.7204 -1.8918
-2.9618 -0.1977 -5.6141
-2.4472 1.3008 -2.9250
-9.5559 1.9915 0.9533
-8.7465 -0.8832 0.6174
-1.6394 -1.5783 -3.2671
-4.3172 0.7511 -0.5893
-6.0449 -3.1047 -1.8578
-4.5727 -1.0448 -3.3335
-5.8387 -1.5249 0.4542
-6.6214 1.4659 1.0221
-5.3548 1.9455 -2.7661
-5.1504 3.5249 -0.4544
-6.8764 -0.3299 -1.7213
```

Computed properties:
density = 4.6 Mg/m³
calculated total energy = -7.751 eV per atom

No. 3
First-principles (PBE with a Hubbard U) data for a relaxed structure of CoO, as listed in the Materials Project.

The structure in POSCAR format:
```
CoO
1.0
-4.2141 0.0024 0.0044
0.0010 -3.1831 -3.1833
2.1087 -4.5638 1.3767
Co O
4 4
Cartesian
0.0011 -3.0830 -0.1005
0.0021 -6.1482 -0.2187
-2.1055 -4.6731 -1.6902
-2.1054 -4.5558 1.3755
-2.1060 -3.0740 -0.1059
0.0016 -4.6669 -1.6999
-2.1061 -3.1837 -3.1792
0.0005 -1.5935 -1.5899
```

Computed properties:
density = 6.2 Mg/m³
calculated total energy = -6.018 eV per atom

Number 1 is which compound?
Li2Mo2P2O11

Which formula does entry 1 have?
Li2Mo2P2O11

Which formula does entry 2 have?
Mg2Nb2FeO8